{
  "formula": "CaP2Ru2",
  "functional": "r2SCAN",
  "state": "relaxed",
  "e_form_mev_per_atom": -1011,
  "total_energy_ev_per_cell": -80.95,
  "space_group": "I4/mmm (139)",
  "magnetic_moment_mub_per_atom": 0.00,
  "lattice_angstrom": [[-2.023, 2.023, 4.964], [2.023, -2.023, 4.964], [2.023, 2.023, -4.964]],
  "species": ["Ca", "P", "P", "Ru", "Ru"],
  "frac_coords": [[0.000, 0.000, 0.000], [0.364, 0.364, 0.000], [0.636, 0.636, 0.000], [0.250, 0.750, 0.500], [0.750, 0.250, 0.500]]
}



{
  "formula": "CaPb",
  "functional": "r2SCAN",
  "state": "relaxed",
  "e_form_mev_per_atom": -651,
  "total_energy_ev_per_cell": -129.25,
  "magnetic_moment_mub_per_atom": 0.00,
  "lattice_angstrom": [[4.628, 0.000, 0.000], [0.000, 5.044, 0.000], [0.000, 0.000, 5.044]],
  "species": ["Pb", "Pb", "Ca", "Ca"],
  "frac_coords": [[0.500, 0.000, 0.500], [0.500, 0.500, 0.000], [0.000, 0.000, 0.000], [0.000, 0.500, 0.500]]
}



{
  "formula": "Ca3Pb",
  "functional": "r2SCAN",
  "state": "relaxed",
  "e_form_mev_per_atom": -475,
  "total_energy_ev_per_cell": -79.30,
  "space_group": "Pm-3m (221)",
  "magnetic_moment_mub_per_atom": 0.00,
  "lattice_angstrom": [[5.050, 0.000, 0.000], [0.000, 5.050, 0.000], [0.000, 0.000, 5.050]],
  "species": ["Ca", "Ca", "Ca", "Pb"],
  "frac_coords": [[0.000, 0.000, 0.500], [0.000, 0.500, 0.000], [0.500, 0.000, 0.000], [0.500, 0.500, 0.500]]
}



{
  "formula": "CaPdPb",
  "functional": "r2SCAN",
  "state": "relaxed",
  "e_form_mev_per_atom": -680,
  "total_energy_ev_per_cell": -264.97,
  "space_group": "P-62m (189)",
  "magnetic_moment_mub_per_atom": 0.00,
  "lattice_angstrom": [[7.968, 0.000, 0.000], [-3.984, 6.900, 0.000], [0.000, 0.000, 3.816]],
  "species": ["Ca", "Ca", "Ca", "Pd", "Pd", "Pd", "Pb", "Pb", "Pb"],
  "frac_coords": [[0.000, 0.602, 0.000], [0.398, 0.398, 0.000], [0.602, 0.000, 0.000], [0.000, 0.000, 0.000], [0.333, 0.667, 0.500], [0.667, 0.333, 0.500], [0.000, 0.272, 0.500], [0.272, 0.000, 0.500], [0.728, 0.728, 0.500]]
}



{
  "formula": "SrCaPb",
  "functional": "r2SCAN",
  "state": "relaxed",
  "e_form_mev_per_atom": -742,
  "total_energy_ev_per_cell": -322.78,
  "space_group": "Pnma (62)",
  "magnetic_moment_mub_per_atom": 0.00,
  "lattice_angstrom": [[8.515, 0.000, 0.000], [0.000, 5.213, 0.000], [0.000, 0.000, 9.680]],
  "species": ["Sr", "Sr", "Sr", "Sr", "Ca", "Ca", "Ca", "Ca", "Pb", "Pb", "Pb", "Pb"],
  "frac_coords": [[0.022, 0.250, 0.182], [0.478, 0.750, 0.682], [0.522, 0.250, 0.318], [0.978, 0.750, 0.818], [0.149, 0.250, 0.570], [0.351, 0.750, 0.070], [0.649, 0.250, 0.930], [0.851, 0.750, 0.430], [0.235, 0.750, 0.391], [0.265, 0.250, 0.891], [0.735, 0.750, 0.109], [0.765, 0.250, 0.609]]
}



{
  "formula": "SrCaPb6",
  "functional": "r2SCAN",
  "state": "relaxed",
  "e_form_mev_per_atom": -404,
  "total_energy_ev_per_cell": -363.13,
  "space_group": "P4/mmm (123)",
  "magnetic_moment_mub_per_atom": 0.00,
  "lattice_angstrom": [[4.961, 0.000, 0.000], [0.000, 4.961, 0.000], [0.000, 0.000, 9.912]],
  "species": ["Sr", "Ca", "Pb", "Pb", "Pb", "Pb", "Pb", "Pb"],
  "frac_coords": [[0.000, 0.000, 0.000], [0.000, 0.000, 0.500], [0.000, 0.500, 0.255], [0.000, 0.500, 0.745], [0.500, 0.000, 0.255], [0.500, 0.000, 0.745], [0.500, 0.500, 0.000], [0.500, 0.500, 0.500]]
}



{
  "formula": "CaYbPb2",
  "functional": "r2SCAN",
  "state": "relaxed",
  "e_form_mev_per_atom": -494,
  "total_energy_ev_per_cell": -158.11,
  "space_group": "Fm-3m (225)",
  "magnetic_moment_mub_per_atom": 0.00,
  "lattice_angstrom": [[0.000, 3.855, 3.855], [3.855, 0.000, 3.855], [3.855, 3.855, 0.000]],
  "species": ["Ca", "Yb", "Pb", "Pb"],
  "frac_coords": [[0.000, 0.000, 0.000], [0.500, 0.500, 0.500], [0.250, 0.250, 0.250], [0.750, 0.750, 0.750]]
}



{
  "formula": "Ca2ZnPb",
  "functional": "r2SCAN",
  "state": "relaxed",
  "e_form_mev_per_atom": -510,
  "total_energy_ev_per_cell": -81.31,
  "space_group": "Fm-3m (225)",
  "magnetic_moment_mub_per_atom": 0.00,
  "lattice_angstrom": [[0.000, 3.795, 3.795], [3.795, 0.000, 3.795], [3.795, 3.795, 0.000]],
  "species": ["Ca", "Ca", "Zn", "Pb"],
  "frac_coords": [[0.250, 0.250, 0.250], [0.750, 0.750, 0.750], [0.000, 0.000, 0.000], [0.500, 0.500, 0.500]]
}